(a)
Computed, not measured: a relaxed structure of Li7V3P8O29 at the PBE+U level of DFT.

a = 9.8352 Å, b = 9.8533 Å, c = 13.9323 Å
α = 89.69°, β = 89.57°, γ = 60.07°
With the nearest neighbours (Å) after each atom.
Space group P1 (No. 1)
Asymmetric unit:
Li 0.0000 0.0000 0.0000  4 O 2.00-2.09
Li 0.0033 0.5612 0.4964  4 O 1.97-2.15
Li 0.1476 0.1588 0.9197  2 O 1.92-1.97
Li 0.1772 0.1614 0.4552  2 O 1.91-1.97
Li 0.1911 0.4639 0.8736  4 O 1.99-2.09
Li 0.1948 0.8935 0.3723  4 O 1.93-2.15
Li 0.3293 0.3251 0.3695  4 O 1.97-2.06
Li 0.4244 0.1390 0.9997  4 O 1.94-2.13
Li 0.4285 0.5762 0.5495  1 O 1.87
Li 0.7484 0.3413 0.8837  3 O 1.97-2.15
Li 0.7657 0.8912 0.8212  1 O 1.87
Li 0.7844 0.4553 0.3725  3 O 1.98-2.04
Li 0.8623 0.5578 0.9979  3 O 1.98-2.07
Li 0.8652 0.1326 0.4931  3 O 1.99-2.03
V 0.0968 0.6679 0.6886  6 O 2.02-2.06
V 0.0974 0.7987 0.1832  6 O 1.89-2.00
V 0.5294 0.8016 0.6846  6 O 1.87-2.03
V 0.5305 0.2307 0.1851  6 O 1.97-2.07
V 0.6564 0.6708 0.1870  6 O 1.91-2.03
V 0.6607 0.2317 0.6814  6 O 1.84-2.03
P 0.0068 0.5505 0.2775  4 O 1.51-1.62
P 0.1816 0.4628 0.0919  4 O 1.51-1.61
P 0.1876 0.9176 0.5963  4 O 1.52-1.61
P 0.3215 0.3216 0.5883  4 O 1.50-1.62
P 0.3219 0.9237 0.0913  4 O 1.50-1.61
P 0.4027 0.0066 0.2791  4 O 1.50-1.62
P 0.4105 0.1421 0.7755  4 O 1.52-1.61
P 0.4286 0.5677 0.3074  4 O 1.51-1.59
P 0.4400 0.5612 0.8069  4 O 1.49-1.60
P 0.7653 0.8948 0.0629  4 O 1.51-1.58
P 0.7645 0.8973 0.5620  4 O 1.48-1.61
P 0.7795 0.4608 0.5908  4 O 1.51-1.61
P 0.7837 0.3205 0.0947  4 O 1.51-1.63
P 0.8665 0.5478 0.7790  4 O 1.51-1.62
P 0.8698 0.1414 0.2771  4 O 1.51-1.62
P 0.9991 0.0101 0.7814  4 O 1.50-1.62
O 0.0038 0.7061 0.2637  1 P 1.53
O 0.0170 0.5585 0.7794  1 P 1.54
O 0.0187 0.9742 0.2733  1 P 1.57
O 0.0841 0.0113 0.8704  1 P 1.50
O 0.0912 0.4438 0.1837  2 P 1.61-1.62
O 0.0914 0.4739 0.0018  1 P 1.51
O 0.0924 0.0206 0.6883  2 P 1.61-1.62
O 0.0963 0.4616 0.3658  1 P 1.51
O 0.0978 0.0076 0.5072  1 P 1.53
O 0.1777 0.4864 0.5938  1 P 1.53
O 0.1811 0.8936 0.0913  1 P 1.55
O 0.1895 0.6143 0.1089  1 P 1.55
O 0.2066 0.7529 0.6051  1 P 1.54
O 0.2841 0.5660 0.7815  1 P 1.55
O 0.2866 0.7210 0.2664  1 P 1.57
O 0.2973 0.0257 0.1861  2 P 1.61-1.62
O 0.3085 0.0055 0.3643  1 P 1.50
O 0.3093 0.2312 0.6823  2 P 1.61-1.62
O 0.3103 0.0257 0.0075  1 P 1.50
O 0.3169 0.2380 0.4996  1 P 1.50
O 0.3186 0.2315 0.8641  1 P 1.52
O 0.3447 0.3178 0.0911  1 P 1.53
O 0.3488 0.9043 0.5980  1 P 1.52
O 0.4202 0.4222 0.2758  1 P 1.54
O 0.4241 0.1500 0.2773  1 P 1.53
O 0.4309 0.5805 0.4155  1 P 1.51
O 0.4330 0.9777 0.7753  1 P 1.52
O 0.4385 0.7072 0.7595  1 P 1.57
O 0.4726 0.3332 0.5974  1 P 1.55
O 0.4794 0.7703 0.1000  1 P 1.54
O 0.4862 0.5335 0.9100  1 P 1.49
O 0.5613 0.8532 0.2655  1 P 1.55
O 0.5732 0.1318 0.7668  1 P 1.56
O 0.5770 0.4157 0.7497  1 P 1.60
O 0.5845 0.5564 0.2647  1 P 1.59
O 0.6102 0.0422 0.0931  1 P 1.55
O 0.6151 0.6072 0.6017  1 P 1.55
O 0.6198 0.8948 0.6103  1 P 1.58
O 0.6269 0.3281 0.1065  1 P 1.51
O 0.7225 0.1317 0.2650  1 P 1.51
O 0.7232 0.7137 0.7660  1 P 1.55
O 0.7585 0.9126 0.4558  1 P 1.48
O 0.7641 0.0470 0.6078  1 P 1.61
O 0.7648 0.3117 0.5882  1 P 1.55
O 0.7652 0.4863 0.0977  1 P 1.55
O 0.7734 0.7448 0.1090  1 P 1.57
O 0.7797 0.8758 0.9549  1 P 1.51
O 0.8357 0.1599 0.7774  1 P 1.55
O 0.8398 0.5727 0.2791  1 P 1.54
O 0.8562 0.4633 0.8670  1 P 1.51
O 0.8688 0.4660 0.5035  1 P 1.51
O 0.8747 0.2245 0.3674  1 P 1.52
O 0.8749 0.2338 0.0053  1 P 1.52
O 0.8798 0.4447 0.6854  2 P 1.61-1.62
O 0.8935 0.2312 0.1867  2 P 1.62-1.63
O 0.9098 0.9077 0.1010  1 P 1.58
O 0.9122 0.7477 0.5993  1 P 1.56
O 0.9797 0.8650 0.7699  1 P 1.54

---

(b)
Computed, not measured: a relaxed structure of Li7V3P8O29 at the PBE+U level of DFT.

a = 9.8675 Å, b = 9.8698 Å, c = 13.8725 Å
α = 89.69°, β = 89.64°, γ = 60.17°
With the nearest neighbours (Å) after each atom.
Space group P1 (No. 1)
Asymmetric unit:
Li 0.0000 0.0000 0.0000  3 O 1.96-2.04
Li 0.0007 0.5866 0.4988  3 O 1.92-2.01
Li 0.0883 0.8210 0.6198  3 O 1.96-2.04
Li 0.0980 0.6841 0.1209  3 O 1.92-2.01
Li 0.1053 0.2429 0.1789  3 O 1.91-2.10
Li 0.4416 0.5797 0.4407  3 O 1.91-2.10
Li 0.4480 0.0074 0.4964  4 O 1.93-2.11
Li 0.4602 0.1350 0.0004  3 O 1.96-2.03
Li 0.5473 0.8141 0.1236  4 O 1.95-2.15
Li 0.5506 0.2238 0.6194  3 O 1.96-2.02
Li 0.6774 0.2368 0.1235  4 O 1.93-2.11
Li 0.6837 0.6856 0.6195  3 O 1.96-2.07
Li 0.8637 0.5965 0.9999  3 O 1.95-2.04
Li 0.8707 0.1374 0.4962  4 O 1.95-2.16
V 0.2068 0.4780 0.3098  6 O 1.89-2.03
V 0.2094 0.9092 0.8085  6 O 1.89-2.00
V 0.3383 0.3457 0.8101  6 O 1.90-2.03
V 0.3421 0.9107 0.3103  6 O 2.02-2.06
V 0.7741 0.3426 0.3095  6 O 2.02-2.06
V 0.7742 0.4768 0.8113  6 O 1.86-2.02
P 0.0059 0.0003 0.2159  4 O 1.51-1.62
P 0.0058 0.5906 0.7189  4 O 1.50-1.61
P 0.0942 0.6789 0.9017  4 O 1.50-1.62
P 0.0946 0.8200 0.4030  4 O 1.51-1.61
P 0.1074 0.2440 0.9329  4 O 1.50-1.59
P 0.1095 0.2435 0.4361  4 O 1.49-1.63
P 0.4405 0.5778 0.6863  4 O 1.50-1.59
P 0.4415 0.5751 0.1835  4 O 1.49-1.63
P 0.4541 0.1431 0.2164  4 O 1.50-1.61
P 0.4546 0.9992 0.7173  4 O 1.50-1.62
P 0.5411 0.8226 0.9018  4 O 1.50-1.62
P 0.5416 0.2308 0.4033  4 O 1.50-1.61
P 0.6844 0.6789 0.4039  4 O 1.51-1.62
P 0.6864 0.2288 0.9019  4 O 1.50-1.61
P 0.8636 0.1431 0.7174  4 O 1.50-1.62
P 0.8648 0.5901 0.2167  4 O 1.51-1.61
O 0.0132 0.9125 0.4920  1 P 1.51
O 0.0148 0.6691 0.9921  1 P 1.50
O 0.0145 0.6696 0.6283  1 P 1.50
O 0.0215 0.9047 0.1276  1 P 1.51
O 0.0253 0.5823 0.2162  1 P 1.55
O 0.0272 0.9942 0.7186  1 P 1.55
O 0.1025 0.6596 0.4034  1 P 1.55
O 0.1032 0.0968 0.8942  1 P 1.57
O 0.1077 0.2566 0.5432  1 P 1.49
O 0.1090 0.3955 0.3896  1 P 1.63
O 0.1085 0.8277 0.8995  1 P 1.54
O 0.1098 0.2443 0.0411  1 P 1.50
O 0.1454 0.0275 0.2301  1 P 1.54
O 0.1535 0.4316 0.7352  1 P 1.54
O 0.2533 0.5320 0.8836  1 P 1.54
O 0.2607 0.2398 0.8928  1 P 1.59
O 0.2610 0.7938 0.3899  1 P 1.54
O 0.2618 0.0991 0.3971  1 P 1.57
O 0.2864 0.7251 0.7249  1 P 1.58
O 0.2879 0.2859 0.2320  1 P 1.56
O 0.2895 0.5757 0.2301  1 P 1.63
O 0.2947 0.0117 0.7362  1 P 1.54
O 0.3923 0.8119 0.8848  1 P 1.54
O 0.3988 0.3969 0.3877  1 P 1.56
O 0.4288 0.5764 0.0764  1 P 1.49
O 0.4387 0.5759 0.5782  1 P 1.50
O 0.4399 0.1619 0.7185  1 P 1.54
O 0.4440 0.4256 0.7270  1 P 1.59
O 0.4444 0.9931 0.2144  1 P 1.53
O 0.4454 0.7212 0.2232  1 P 1.56
O 0.5225 0.2466 0.9014  1 P 1.54
O 0.5239 0.1536 0.4925  1 P 1.50
O 0.5269 0.8313 0.4049  1 P 1.53
O 0.5312 0.1608 0.1271  1 P 1.50
O 0.5306 0.9115 0.9916  1 P 1.50
O 0.5326 0.9089 0.6275  1 P 1.50
O 0.5575 0.1274 0.3098  2 P 1.61
O 0.5636 0.9106 0.8098  2 P 1.62
O 0.5858 0.4230 0.2226  1 P 1.57
O 0.5864 0.5836 0.7247  1 P 1.57
O 0.6573 0.5394 0.3897  1 P 1.54
O 0.6772 0.3890 0.8833  1 P 1.56
O 0.6892 0.6586 0.9013  1 P 1.55
O 0.6917 0.2404 0.4053  1 P 1.53
O 0.7721 0.6715 0.1278  1 P 1.51
O 0.7745 0.1212 0.8099  2 P 1.61-1.62
O 0.7746 0.1525 0.6280  1 P 1.50
O 0.7753 0.6924 0.3100  2 P 1.61-1.62
O 0.7758 0.1529 0.9920  1 P 1.50
O 0.7800 0.6634 0.4921  1 P 1.51
O 0.8535 0.1579 0.2149  1 P 1.53
O 0.8568 0.5745 0.7216  1 P 1.56
O 0.8759 0.2894 0.7364  1 P 1.53
O 0.8911 0.4237 0.2297  1 P 1.54
O 0.9605 0.3980 0.8954  1 P 1.58
O 0.9636 0.2394 0.3963  1 P 1.56
O 0.9841 0.7006 0.8100  2 P 1.61-1.62
O 0.9923 0.9096 0.3097  2 P 1.61-1.62

---

(c)
Computed, not measured: a relaxed structure of Li7V3P8O29 at the PBE+U level of DFT.

a = 9.8323 Å, b = 9.8475 Å, c = 13.8979 Å
α = 89.28°, β = 89.25°, γ = 60.30°
With the nearest neighbours (Å) after each atom.
Space group P1 (No. 1)
Asymmetric unit:
Li 0.0000 0.0000 0.0000  1 O 1.89
Li 0.0020 0.5645 0.9495  4 O 1.91-2.08
Li 0.0050 0.4203 0.4500  4 O 1.97-2.17
Li 0.0959 0.6632 0.3217  4 O 1.92-2.09
Li 0.2281 0.0963 0.3244  4 O 1.98-2.14
Li 0.2372 0.6549 0.8211  3 O 1.91-2.02
Li 0.3321 0.3342 0.8929  6 O 2.26-2.52
Li 0.3520 0.3663 0.3878  2 O 1.94-2.02
Li 0.4249 0.0030 0.9506  4 O 1.95-2.12
Li 0.5647 0.0071 0.4478  4 O 1.98-2.14
Li 0.6554 0.6585 0.2704  1 O 1.89
Li 0.6595 0.0928 0.8248  3 O 1.92-2.07
Li 0.6642 0.6481 0.7703  1 O 1.85
Li 0.6741 0.2256 0.3210  4 O 2.00-2.13
V 0.3284 0.8931 0.1361  6 O 1.99-2.07
V 0.3332 0.7637 0.6318  6 O 1.87-2.03
V 0.7634 0.3323 0.1300  6 O 1.85-2.03
V 0.7673 0.8937 0.6329  6 O 1.86-1.99
V 0.8953 0.3236 0.6390  6 O 1.86-2.03
V 0.8965 0.7637 0.1370  6 O 2.01-2.06
P 0.0113 0.5527 0.7282  4 O 1.51-1.62
P 0.0120 0.4161 0.2329  4 O 1.52-1.60
P 0.1060 0.6414 0.5435  4 O 1.51-1.61
P 0.1096 0.2445 0.0437  4 O 1.50-1.62
P 0.2412 0.6451 0.0361  4 O 1.51-1.61
P 0.2453 0.1035 0.5457  4 O 1.51-1.62
P 0.4181 0.5481 0.2234  4 O 1.51-1.60
P 0.4227 0.0115 0.7306  4 O 1.49-1.61
P 0.5476 0.4136 0.7242  4 O 1.49-1.62
P 0.5579 0.0090 0.2295  4 O 1.52-1.62
P 0.6436 0.2453 0.5376  4 O 1.50-1.61
P 0.6499 0.1031 0.0427  4 O 1.52-1.62
P 0.6664 0.6640 0.0111  4 O 1.51-1.59
P 0.6667 0.6625 0.5137  4 O 1.49-1.58
P 0.9916 0.0017 0.2591  4 O 1.50-1.60
P 0.9993 0.9915 0.7570  4 O 1.49-1.58
O 0.0791 0.6588 0.0459  1 P 1.54
O 0.0809 0.2490 0.5480  1 P 1.54
O 0.0930 0.3263 0.3236  1 P 1.52
O 0.0971 0.5593 0.8156  1 P 1.51
O 0.1075 0.5544 0.4541  1 P 1.51
O 0.1195 0.3424 0.9631  1 P 1.50
O 0.1205 0.5349 0.6357  2 P 1.61-1.62
O 0.1216 0.3200 0.1440  2 P 1.60-1.62
O 0.1405 0.0040 0.2211  1 P 1.56
O 0.1502 0.8433 0.7180  1 P 1.57
O 0.2216 0.8095 0.0494  1 P 1.55
O 0.2373 0.9520 0.5574  1 P 1.54
O 0.2417 0.6735 0.5461  1 P 1.52
O 0.2510 0.0782 0.0425  1 P 1.54
O 0.3187 0.5393 0.3040  1 P 1.51
O 0.3186 0.5622 0.9439  1 P 1.51
O 0.3340 0.1034 0.4561  1 P 1.51
O 0.3343 0.1191 0.6386  2 P 1.61-1.62
O 0.3451 0.5354 0.1236  2 P 1.60-1.61
O 0.3475 0.0956 0.8215  1 P 1.49
O 0.4084 0.5820 0.7258  1 P 1.54
O 0.4077 0.9980 0.2319  1 P 1.53
O 0.4323 0.6977 0.2208  1 P 1.55
O 0.4353 0.8493 0.7181  1 P 1.55
O 0.5184 0.8118 0.0483  1 P 1.55
O 0.5189 0.6633 0.5606  1 P 1.58
O 0.5285 0.3421 0.6246  2 P 1.61-1.62
O 0.5413 0.3151 0.8049  1 P 1.49
O 0.5450 0.1128 0.1356  2 P 1.62
O 0.5601 0.1010 0.9547  1 P 1.52
O 0.5607 0.3150 0.4449  1 P 1.50
O 0.5680 0.0953 0.3168  1 P 1.52
O 0.5845 0.4047 0.2261  1 P 1.54
O 0.5930 0.9860 0.7232  1 P 1.57
O 0.6581 0.8179 0.5491  1 P 1.57
O 0.6667 0.2490 0.0436  1 P 1.52
O 0.6666 0.6599 0.4064  1 P 1.49
O 0.6676 0.6558 0.9029  1 P 1.51
O 0.6688 0.0766 0.5476  1 P 1.56
O 0.6685 0.5164 0.0598  1 P 1.59
O 0.6993 0.8442 0.2179  1 P 1.54
O 0.6999 0.4267 0.7160  1 P 1.57
O 0.7971 0.2476 0.5519  1 P 1.54
O 0.8134 0.9574 0.0519  1 P 1.54
O 0.8165 0.5174 0.5554  1 P 1.57
O 0.8162 0.6611 0.0470  1 P 1.55
O 0.8458 0.1474 0.2090  1 P 1.60
O 0.8479 0.4338 0.2185  1 P 1.55
O 0.8490 0.7013 0.7139  1 P 1.55
O 0.8503 0.9919 0.7194  1 P 1.56
O 0.9476 0.7956 0.5571  1 P 1.56
O 0.9578 0.2319 0.0493  1 P 1.56
O 0.9735 0.0197 0.3661  1 P 1.50
O 0.9856 0.4119 0.7269  1 P 1.53
O 0.9973 0.1394 0.7104  1 P 1.58
O 0.9971 0.8495 0.2241  1 P 1.56
O 0.9979 0.5782 0.2324  1 P 1.53
O 0.9978 0.9923 0.8643  1 P 1.49

---

Unit: meV/atom. Relative energies: (a) 9; (b) 0; (c) 16.